[1]
DFT (PBE) results for crystalline Sn2Sb2Pb4O13 at its relaxed geometry.

Results
magnetization: 0.00 μB/atom
V: 14.71 A^3/atom
DFT total energy: -6.00 eV/atom
formation energy from the elements: -1.878 eV/atom

The structure in CIF format:
```
data_Sn2Sb2Pb4O13
_chemical_formula_sum 'Sn4 Sb4 Pb8 O26'
_cell_length_a 7.5693
_cell_length_b 7.5998
_cell_length_c 10.7371
_cell_angle_alpha 90.00
_cell_angle_beta 90.00
_cell_angle_gamma 90.00
_space_group_name_H-M_alt 'I m m 2'
_space_group_IT_number 44
loop_
_space_group_symop_operation_xyz
'x,y,z'
'-x,-y,z'
'-x,y,z'
'x,-y,z'
'x+1/2,y+1/2,z+1/2'
'-x+1/2,-y+1/2,z+1/2'
'-x+1/2,y+1/2,z+1/2'
'x+1/2,-y+1/2,z+1/2'
loop_
_atom_site_label
_atom_site_fract_x
_atom_site_fract_y
_atom_site_fract_z
Sn1 0.2505 0.0000 0.0000
Sb1 0.0000 0.2504 0.2504
Pb1 0.0000 0.2509 0.7512
Pb2 0.2482 0.5000 0.9999
O1 0.0000 0.0000 0.3198
O2 0.0000 0.0000 0.6235
O3 0.0000 0.0000 0.9198
O4 0.0000 0.5000 0.1826
O5 0.0000 0.5000 0.5784
O6 0.1932 0.2972 0.3736
O7 0.1953 0.2049 0.1270
```


[2]
DFT (PBE) results for crystalline Ti2Sb2Pb4O13 at its relaxed geometry.

Results
magnetization: 0.00 μB/atom
V: 14.05 A^3/atom
DFT total energy: -6.75 eV/atom
formation energy from the elements: -2.264 eV/atom

The structure in CIF format:
```
data_Ti2Sb2Pb4O13
_chemical_formula_sum 'Ti4 Sb4 Pb8 O26'
_cell_length_a 7.4528
_cell_length_b 7.4964
_cell_length_c 10.5600
_cell_angle_alpha 90.00
_cell_angle_beta 90.00
_cell_angle_gamma 90.00
_space_group_name_H-M_alt 'I m m 2'
_space_group_IT_number 44
loop_
_space_group_symop_operation_xyz
'x,y,z'
'-x,-y,z'
'-x,y,z'
'x,-y,z'
'x+1/2,y+1/2,z+1/2'
'-x+1/2,-y+1/2,z+1/2'
'-x+1/2,y+1/2,z+1/2'
'x+1/2,-y+1/2,z+1/2'
loop_
_atom_site_label
_atom_site_fract_x
_atom_site_fract_y
_atom_site_fract_z
Ti1 0.2488 0.0000 0.0000
Sb1 0.0000 0.2497 0.2490
Pb1 0.0000 0.2467 0.7473
Pb2 0.2454 0.0000 0.5012
O1 0.0000 0.0000 0.3207
O2 0.0000 0.0000 0.9358
O3 0.0000 0.5000 0.1744
O4 0.0000 0.5000 0.5651
O5 0.0000 0.5000 0.8744
O6 0.1930 0.1930 0.1232
O7 0.1956 0.3038 0.3740
```